Compound: Sr4CaFe5O15
Source: the Materials Project database
Functional: PBE+U
Structure: optimized geometry

Size of the total moment in Bohr magnetons per cell: 42.59
DFT formation energy in eV/atom: -2.213

Lattice parameters (Å, degrees): 7.809 9.557 8.716 89.97 90.02 65.88
Atoms (fractional coordinates):
1 O 0.201 0.098 0.196
2 O 0.352 0.295 0.098
3 O 0.750 0.500 0.500
4 O 0.799 0.902 0.804
5 O 0.299 0.902 0.804
6 O 0.400 0.701 0.398
7 O 0.701 0.098 0.196
8 O 0.848 0.804 0.098
9 Fe 0.300 0.901 0.298
10 Sr 0.600 0.800 0.601
11 O 0.348 0.804 0.098
12 Ca 0.500 0.000 0.000
13 O 0.551 0.398 0.299
14 Fe 0.500 0.500 0.500
15 Sr 0.200 0.600 0.200
16 Fe 0.101 0.298 0.099
17 Sr 0.400 0.200 0.399
18 O 0.852 0.295 0.098
19 Sr 0.100 0.800 0.601
20 O 0.648 0.705 0.902
21 Ca 0.000 0.000 0.000
22 Fe 0.000 0.500 0.500
23 Fe 0.399 0.702 0.901
24 Sr 0.800 0.399 0.800
25 Sr 0.300 0.399 0.800
26 O 0.600 0.299 0.602
27 Fe 0.899 0.702 0.901
28 O 0.148 0.705 0.902
29 Fe 0.601 0.298 0.099
30 O 0.051 0.398 0.299
31 O 0.100 0.299 0.602
32 O 0.951 0.098 0.705
33 O 0.750 0.000 0.500
34 O 0.000 0.500 0.000
35 O 0.652 0.196 0.902
36 O 0.250 0.500 0.500
37 O 0.900 0.701 0.398
38 O 0.449 0.602 0.701
39 Sr 0.900 0.200 0.399
40 O 0.250 0.000 0.500
41 O 0.152 0.196 0.902
42 Fe 0.200 0.099 0.702
43 O 0.949 0.602 0.701
44 O 0.500 0.500 0.000
45 O 0.549 0.902 0.295
46 Fe 0.700 0.099 0.702
47 O 0.451 0.098 0.705
48 Sr 0.700 0.600 0.200
49 O 0.049 0.902 0.295
50 Fe 0.800 0.901 0.298